Entry 1:
{"formula": "Sn7S2Br10", "functional": "PBE-GGA", "state": "relaxed", "delta_e_f_ev_per_atom": -0.96, "space_group": "No. 1", "cell": [[6.7056, 0.0000, 0.0000], [1.4158, 11.1584, 0.0000], [0.8521, 5.3866, 10.0343]], "species": ["Br", "Br", "Br", "Br", "Sn", "Sn", "Br", "Br", "Br", "Sn", "Sn", "Br", "Sn", "Sn", "S", "Br", "S", "Br", "Sn"], "frac_coords": [[0.6539, 0.2085, 0.0678], [0.1523, 0.3825, 0.1187], [0.6697, 0.6323, 0.9074], [0.1216, 0.1420, 0.5467], [0.9158, 0.1337, 0.2939], [0.3614, 0.4035, 0.8940], [0.7016, 0.9114, 0.4691], [0.2967, 0.5449, 0.3190], [0.6994, 0.4174, 0.6196], [0.4234, 0.8794, 0.7277], [0.7040, 0.2202, 0.5490], [0.1743, 0.2343, 0.8537], [0.6736, 0.5416, 0.1812], [0.8704, 0.9871, 0.9764], [0.6881, 0.7708, 0.1714], [0.1728, 0.9631, 0.2252], [0.6303, 0.0275, 0.7783], [0.1635, 0.7977, 0.9541], [0.4655, 0.7260, 0.3794]]}

Entry 2:
{"formula": "TiTl3", "functional": "PBE-GGA", "state": "relaxed", "delta_e_f_ev_per_atom": 0.30, "space_group": "No. 221", "cell": [[4.6005, 0.0000, 0.0000], [0.0000, 4.6005, 0.0000], [0.0000, 0.0000, 4.6005]], "species": ["Ti", "Tl", "Tl", "Tl"], "frac_coords": [[0.0000, 0.0000, 0.0000], [0.5000, 0.5000, 0.0000], [0.0000, 0.5000, 0.5000], [0.5000, 0.0000, 0.5000]]}

Entry 3:
{"formula": "Bi14Pb4Cl8O21", "functional": "PBE-GGA", "state": "relaxed", "delta_e_f_ev_per_atom": -1.49, "space_group": "No. 8", "cell": [[-12.1962, -1.2032, -9.0326], [-11.2312, -5.0821, -8.9339], [-18.0514, -4.3364, 6.0721]], "species": ["Cl", "O", "O", "Cl", "O", "O", "Pb", "Bi", "Cl", "Bi", "Cl", "Bi", "O", "O", "O", "O", "O", "Bi", "Bi", "O", "Bi", "Bi", "Bi", "Pb", "O", "O", "Cl", "Pb", "Pb", "O", "O", "O", "O", "Bi", "O", "Bi", "Bi", "Cl", "O", "O", "Bi", "Bi", "Cl", "Bi", "O", "Cl", "O"], "frac_coords": [[0.7896, 0.7896, 0.7713], [0.6527, 0.6527, 0.8720], [0.5976, 0.5976, 0.4468], [0.1303, 0.1303, 0.1387], [0.3994, 0.3994, 0.5466], [0.1067, 0.1067, 0.8354], [0.9607, 0.9607, 0.4471], [0.1888, 0.1888, 0.7998], [0.2127, 0.2127, 0.2318], [0.1185, 0.1185, 0.6432], [0.7165, 0.7165, 0.6634], [0.5628, 0.5628, 0.8814], [0.3516, 0.3516, 0.1298], [0.0307, 0.0307, 0.7020], [0.5906, 0.5906, 0.6237], [0.4847, 0.4847, 0.6458], [0.9460, 0.9460, 0.5890], [0.4351, 0.4351, 0.1238], [0.5002, 0.5002, 0.7461], [0.8119, 0.8119, 0.0762], [0.8108, 0.8108, 0.2037], [0.5108, 0.5108, 0.2388], [0.7289, 0.7289, 0.0965], [0.3260, 0.3260, 0.5502], [0.4318, 0.4318, 0.2371], [0.7299, 0.7299, 0.9753], [0.2956, 0.2956, 0.3267], [0.0431, 0.0431, 0.5510], [0.6765, 0.6765, 0.4364], [0.1590, 0.1590, 0.5067], [0.5142, 0.5142, 0.3444], [0.9696, 0.9696, 0.2890], [0.1883, 0.1883, 0.9283], [0.2730, 0.2730, 0.9036], [0.2700, 0.2700, 0.0277], [0.8856, 0.8856, 0.3299], [0.5913, 0.5913, 0.3437], [0.8651, 0.8651, 0.8705], [0.0533, 0.0533, 0.3989], [0.3738, 0.3738, 0.4101], [0.4111, 0.4111, 0.6512], [0.3554, 0.3554, 0.0095], [0.9486, 0.9486, 0.9655], [0.6467, 0.6467, 0.9908], [0.8926, 0.8926, 0.1800], [0.0411, 0.0411, 0.0585], [0.5649, 0.5649, 0.7760]]}

Entry 4:
{"formula": "EuAlAu", "functional": "PBE-GGA", "state": "relaxed", "delta_e_f_ev_per_atom": -0.68, "space_group": "No. 62", "cell": [[-3.5047, 1.9841, 2.4588], [-3.6744, -6.5830, 0.0746], [3.6557, -1.9635, 6.7951]], "species": ["Eu", "Eu", "Eu", "Au", "Al", "Eu", "Al", "Au", "Al", "Al", "Au", "Au"], "frac_coords": [[0.2500, 0.5151, 0.1873], [0.2500, 0.0151, 0.3127], [0.7500, 0.9849, 0.6873], [0.7500, 0.7052, 0.3932], [0.2500, 0.6604, 0.5708], [0.7500, 0.4849, 0.8127], [0.2500, 0.1604, 0.9292], [0.7500, 0.2052, 0.1068], [0.7500, 0.3396, 0.4292], [0.7500, 0.8396, 0.0708], [0.2500, 0.7948, 0.8932], [0.2500, 0.2948, 0.6068]]}